VASP calculation (PBE) on a geometry-optimized BaNaZrBiO6 structure.

Computed properties:
Crystal system: cubic
E (eV/atom): -6.680
DFT formation energy (eV/atom): -2.56

a b c (Å): 5.975 5.975 5.975
angles (deg): 60.00 60.00 60.00
Positions (direct):
O1 0.749 0.251 0.749
O2 0.251 0.251 0.749
O3 0.251 0.749 0.749
O4 0.749 0.251 0.251
O5 0.251 0.749 0.251
O6 0.749 0.749 0.251
Ba1 0.750 0.750 0.750
Bi1 0.000 0.000 0.000
Zr1 0.500 0.500 0.500
Na1 0.250 0.250 0.250